Here is crystalline BaSrCu2O4 at its relaxed geometry from Materials Project. Energies are from PBE.

Structure (CIF):
```
data_BaSrCu2O4
_chemical_formula_sum 'Ba1 Sr1 Cu2 O4'
_cell_length_a 3.984
_cell_length_b 3.984
_cell_length_c 7.348
_cell_angle_alpha 90.00
_cell_angle_beta 90.00
_cell_angle_gamma 90.00
_symmetry_space_group_name_H-M 'P 4/m m m'
_symmetry_Int_Tables_number 123
_symmetry_space_group_name_Hall '-P 4 2'
loop_
_atom_site_label
_atom_site_type_symbol
_atom_site_fract_x
_atom_site_fract_y
_atom_site_fract_z
Ba1 Ba 0.000 0.000 0.000
Sr1 Sr 0.000 0.000 0.500
Cu1 Cu 0.500 0.500 0.271
O1 O 0.000 0.500 0.267
```

Output
* electronic total energy: -44.771 eV/cell
* calculated volume: 14.6 A^3/atom